No. 1
Computed, not measured: a relaxed structure of LiTa2Te4Br10O at the PBE level of DFT.

a = 7.889 Å, b = 9.246 Å, c = 9.977 Å
α = 84.45°, β = 94.19°, γ = 76.18°
Positions (direct):
Br1 0.449 0.186 0.182
Br2 0.760 0.192 0.458
Br3 0.395 0.476 0.809
Br4 0.178 0.542 0.268
Br5 0.832 0.470 0.724
Br6 0.297 0.240 0.518
Br7 0.551 0.818 0.820
Br8 0.225 0.799 0.562
Br9 0.623 0.516 0.199
Br10 0.660 0.784 0.477
Li1 0.439 0.972 0.589
Ta1 0.481 0.370 0.356
Ta2 0.525 0.615 0.637
Te1 0.814 0.088 0.860
Te2 0.079 0.183 0.996
Te3 0.924 0.811 0.011
Te4 0.188 0.906 0.148
O1 0.499 0.497 0.499

E_tot: -4.21 eV per atom
Magnetization: 1.0 μB/f.u.
Calculated volume: 38.88 A^3/atom
Space-group type: No. 1
Energy of formation from the pure elements: -16.87 eV/f.u.
Energy relative to the lowest polymorph listed for this composition: 2.6 meV/atom


No. 2
Computed, not measured: a relaxed structure of LiTa2Te4Br10O at the PBE level of DFT.

a = 7.713 Å, b = 8.882 Å, c = 10.052 Å
α = 86.17°, β = 93.30°, γ = 74.16°
Positions (direct):
Br1 0.163 0.535 0.280
Br2 0.677 0.782 0.492
Br3 0.805 0.192 0.426
Br4 0.609 0.520 0.193
Br5 0.840 0.456 0.727
Br6 0.353 0.200 0.514
Br7 0.210 0.807 0.570
Br8 0.464 0.168 0.172
Br9 0.538 0.832 0.826
Br10 0.397 0.474 0.807
Te1 0.081 0.188 0.988
Te2 0.810 0.103 0.846
Te3 0.898 0.818 0.999
Te4 0.176 0.902 0.143
Ta1 0.518 0.637 0.642
Ta2 0.479 0.372 0.366
Li1 0.802 0.098 0.195
O1 0.503 0.500 0.502

E_tot: -4.19 eV per atom
Magnetization: 1.0 μB/f.u.
Calculated volume: 36.61 A^3/atom
Space-group type: No. 1
Energy of formation from the pure elements: -16.58 eV/f.u.
Energy relative to the lowest polymorph listed for this composition: 18.5 meV/atom


No. 3
Computed, not measured: a relaxed structure of LiTa2Te4Br10O at the PBE level of DFT.

a = 7.916 Å, b = 9.096 Å, c = 9.613 Å
α = 85.46°, β = 95.70°, γ = 79.75°
Positions (direct):
Br1 0.231 0.799 0.540
Br2 0.794 0.479 0.783
Br3 0.500 0.192 0.155
Br4 0.212 0.525 0.253
Br5 0.357 0.204 0.502
Br6 0.800 0.230 0.451
Br7 0.348 0.494 0.802
Br8 0.533 0.834 0.839
Br9 0.694 0.790 0.507
Br10 0.645 0.541 0.195
Te1 0.216 0.908 0.138
Te2 0.833 0.088 0.852
Te3 0.123 0.181 0.980
Te4 0.923 0.819 0.019
Ta1 0.506 0.375 0.368
Ta2 0.513 0.654 0.644
Li1 0.608 0.384 0.983
O1 0.514 0.509 0.507

E_tot: -4.21 eV per atom
Magnetization: 1.0 μB/f.u.
Calculated volume: 37.47 A^3/atom
Space-group type: No. 1
Energy of formation from the pure elements: -16.92 eV/f.u.
Energy relative to the lowest polymorph listed for this composition: 0.0 meV/atom


No. 4
Computed, not measured: a relaxed structure of LiTa2Te4Br10O at the PBE level of DFT.

a = 7.922 Å, b = 9.112 Å, c = 9.966 Å
α = 83.40°, β = 94.42°, γ = 77.22°
Positions (direct):
Br1 0.397 0.488 0.815
Br2 0.178 0.525 0.275
Br3 0.773 0.191 0.461
Br4 0.231 0.796 0.547
Br5 0.329 0.210 0.530
Br6 0.621 0.514 0.203
Br7 0.673 0.775 0.461
Br8 0.558 0.839 0.799
Br9 0.827 0.474 0.729
Br10 0.457 0.177 0.188
Te1 0.188 0.910 0.152
Te2 0.809 0.118 0.874
Te3 0.917 0.826 0.010
Te4 0.095 0.194 0.002
Li1 0.607 0.005 0.582
Ta1 0.520 0.626 0.632
Ta2 0.478 0.367 0.363
O1 0.500 0.494 0.502

E_tot: -4.21 eV per atom
Magnetization: 1.0 μB/f.u.
Calculated volume: 38.50 A^3/atom
Space-group type: No. 1
Energy of formation from the pure elements: -16.92 eV/f.u.
Energy relative to the lowest polymorph listed for this composition: 0.1 meV/atom


No. 5
Computed, not measured: a relaxed structure of LiTa2Te4Br10O at the PBE level of DFT.

a = 7.827 Å, b = 8.585 Å, c = 9.927 Å
α = 85.02°, β = 91.66°, γ = 76.57°
Positions (direct):
Br1 0.390 0.463 0.818
Br2 0.323 0.196 0.519
Br3 0.658 0.800 0.478
Br4 0.527 0.849 0.827
Br5 0.208 0.799 0.577
Br6 0.782 0.192 0.432
Br7 0.172 0.530 0.282
Br8 0.461 0.161 0.179
Br9 0.606 0.537 0.193
Br10 0.819 0.480 0.730
O1 0.497 0.495 0.503
Ta1 0.486 0.362 0.358
Ta2 0.512 0.638 0.633
Li1 0.379 0.162 0.778
Te1 0.095 0.195 0.993
Te2 0.181 0.897 0.145
Te3 0.837 0.094 0.847
Te4 0.915 0.805 0.008

E_tot: -4.19 eV per atom
Magnetization: 1.0 μB/f.u.
Calculated volume: 35.86 A^3/atom
Space-group type: No. 1
Energy of formation from the pure elements: -16.66 eV/f.u.
Energy relative to the lowest polymorph listed for this composition: 14.4 meV/atom


No. 6
Computed, not measured: a relaxed structure of LiTa2Te4Br10O at the PBE level of DFT.

a = 7.629 Å, b = 9.047 Å, c = 9.790 Å
α = 83.92°, β = 89.89°, γ = 74.97°
Positions (direct):
Li1 0.265 0.015 0.711
Br1 0.289 0.233 0.529
Br2 0.617 0.522 0.189
Br3 0.384 0.484 0.821
Br4 0.833 0.472 0.711
Br5 0.766 0.191 0.442
Br6 0.448 0.182 0.180
Br7 0.542 0.829 0.822
Br8 0.157 0.547 0.279
Br9 0.196 0.808 0.577
Br10 0.650 0.794 0.466
Te1 0.181 0.912 0.153
Te2 0.924 0.819 0.011
Te3 0.836 0.096 0.844
Te4 0.102 0.188 0.985
O1 0.487 0.502 0.500
Ta1 0.473 0.372 0.358
Ta2 0.516 0.629 0.633

E_tot: -4.20 eV per atom
Magnetization: 1.0 μB/f.u.
Calculated volume: 36.04 A^3/atom
Space-group type: No. 1
Energy of formation from the pure elements: -16.69 eV/f.u.
Energy relative to the lowest polymorph listed for this composition: 12.9 meV/atom